First-principles (r²SCAN) data for a geometry-optimized SiO2 structure, as listed in the Materials Project.

abc: 7.174 7.174 20.875
angles: 90.00 90.00 90.00
Sites, in units of the cell vectors:
Si 0.000 0.000 0.250
Si 0.000 0.000 0.750
Si 0.000 0.206 0.127
Si 0.000 0.206 0.873
Si 0.000 0.794 0.127
Si 0.000 0.794 0.873
Si 0.206 0.000 0.373
Si 0.206 0.000 0.627
Si 0.284 0.500 0.077
Si 0.284 0.500 0.923
Si 0.500 0.284 0.423
Si 0.500 0.284 0.577
Si 0.500 0.716 0.423
Si 0.500 0.716 0.577
Si 0.716 0.500 0.077
Si 0.716 0.500 0.923
Si 0.794 0.000 0.373
Si 0.794 0.000 0.627
O 0.000 0.000 0.095
O 0.000 0.000 0.405
O 0.000 0.000 0.595
O 0.000 0.000 0.905
O 0.000 0.182 0.204
O 0.000 0.182 0.796
O 0.000 0.818 0.204
O 0.000 0.818 0.796
O 0.182 0.000 0.296
O 0.182 0.000 0.704
O 0.184 0.316 0.105
O 0.184 0.316 0.895
O 0.184 0.684 0.105
O 0.184 0.684 0.895
O 0.266 0.500 0.000
O 0.316 0.184 0.395
O 0.316 0.184 0.605
O 0.316 0.816 0.395
O 0.316 0.816 0.605
O 0.500 0.266 0.500
O 0.500 0.500 0.097
O 0.500 0.500 0.403
O 0.500 0.500 0.597
O 0.500 0.500 0.903
O 0.500 0.734 0.500
O 0.684 0.184 0.395
O 0.684 0.184 0.605
O 0.684 0.816 0.395
O 0.684 0.816 0.605
O 0.734 0.500 0.000
O 0.816 0.316 0.105
O 0.816 0.316 0.895
O 0.816 0.684 0.105
O 0.816 0.684 0.895
O 0.818 0.000 0.296
O 0.818 0.000 0.704

The formation energy is -3002 meV per atom. As for the volume: 1074 Å³/cell.

***

First-principles (r²SCAN) data for a geometry-optimized Y2GaCo2 structure, as listed in the Materials Project.

abc: 4.277 5.022 8.761
angles: 90.00 90.00 90.00
Sites, in units of the cell vectors:
Y 0.000 0.000 0.193
Y 0.000 0.000 0.807
Y 0.500 0.500 0.307
Y 0.500 0.500 0.693
Ga 0.000 0.500 0.000
Ga 0.500 0.000 0.500
Co 0.000 0.264 0.500
Co 0.000 0.736 0.500
Co 0.500 0.236 0.000
Co 0.500 0.764 0.000

The formation energy is -334 meV per atom. As for the volume: 188 Å³/cell.

***

First-principles (r²SCAN) data for a geometry-optimized TbSbRh structure, as listed in the Materials Project.

abc: 7.186 4.555 7.795
angles: 90.00 90.00 90.00
Sites, in units of the cell vectors:
Tb 0.011 0.250 0.202
Tb 0.489 0.750 0.702
Tb 0.511 0.250 0.298
Tb 0.989 0.750 0.798
Sb 0.194 0.250 0.591
Sb 0.306 0.750 0.091
Sb 0.694 0.250 0.909
Sb 0.806 0.750 0.409
Rh 0.195 0.750 0.418
Rh 0.305 0.250 0.918
Rh 0.695 0.750 0.082
Rh 0.805 0.250 0.582

The formation energy is -1122 meV per atom. As for the volume: 255 Å³/cell.

***

First-principles (r²SCAN) data for a geometry-optimized VRu3 structure, as listed in the Materials Project.

abc: 5.423 5.423 4.244
angles: 90.00 90.00 120.00
Sites, in units of the cell vectors:
V 0.333 0.667 0.250
V 0.667 0.333 0.750
Ru 0.169 0.337 0.750
Ru 0.169 0.831 0.750
Ru 0.337 0.169 0.250
Ru 0.663 0.831 0.750
Ru 0.831 0.169 0.250
Ru 0.831 0.663 0.250

The formation energy is -118 meV per atom. As for the volume: 108 Å³/cell.

***

First-principles (r²SCAN) data for a geometry-optimized TbBr3 structure, as listed in the Materials Project.

abc: 9.982 9.982 3.759
angles: 90.00 90.00 120.00
Sites, in units of the cell vectors:
Tb 0.333 0.667 0.250
Tb 0.667 0.333 0.750
Br 0.211 0.422 0.750
Br 0.211 0.789 0.750
Br 0.422 0.211 0.250
Br 0.578 0.789 0.750
Br 0.789 0.211 0.250
Br 0.789 0.578 0.250

The formation energy is -2083 meV per atom. As for the volume: 324 Å³/cell.

***

First-principles (r²SCAN) data for a geometry-optimized EuBr2 structure, as listed in the Materials Project.

abc: 11.547 11.547 7.122
angles: 90.00 90.00 90.00
Sites, in units of the cell vectors:
Eu 0.087 0.897 0.248
Eu 0.103 0.587 0.752
Eu 0.250 0.250 0.149
Eu 0.397 0.913 0.752
Eu 0.413 0.603 0.248
Eu 0.587 0.397 0.752
Eu 0.603 0.087 0.248
Eu 0.750 0.750 0.851
Eu 0.897 0.413 0.248
Eu 0.913 0.103 0.752
Br 0.040 0.153 0.377
Br 0.043 0.339 0.901
Br 0.153 0.460 0.377
Br 0.161 0.043 0.901
Br 0.250 0.750 0.000
Br 0.250 0.750 0.500
Br 0.339 0.457 0.901
Br 0.347 0.040 0.377
Br 0.457 0.161 0.901
Br 0.460 0.347 0.377
Br 0.540 0.653 0.623
Br 0.543 0.839 0.099
Br 0.653 0.960 0.623
Br 0.661 0.543 0.099
Br 0.750 0.250 0.000
Br 0.750 0.250 0.500
Br 0.839 0.957 0.099
Br 0.847 0.540 0.623
Br 0.957 0.661 0.099
Br 0.960 0.847 0.623

The formation energy is -2339 meV per atom. As for the volume: 950 Å³/cell.